Na3Si2SnGePO12 PBE relaxed; final energy = -6.56 eV/atom; density = 3.6 g cm⁻³; polymorph energy (0 for the lowest one) = 0 meV per atom; SG = P1 (1)
1.0
8.8413 -0.0093 0.0117
-4.4287 7.6725 -0.0176
0.0313 -0.0355 22.0686
O P Ge Na Sn Si
72 6 6 18 6 12
Cartesian
3.4583 3.8618 20.2775
-0.5404 1.3767 20.1209
-0.9055 3.7674 12.8270
2.6026 7.3592 15.1982
1.5092 0.2656 13.0235
5.1634 6.0585 18.0166
3.7208 4.2014 11.3907
5.0848 0.9575 3.1318
3.9045 5.9159 6.7353
3.4836 6.3719 20.1279
3.8468 0.8907 14.2610
0.8910 3.8035 7.9628
3.2152 6.3504 4.1605
5.0013 4.0378 0.4373
0.9173 1.2836 1.8104
5.3198 3.7799 9.1145
0.8778 6.2667 16.7988
7.8672 1.2591 12.9695
1.1059 1.2247 17.9869
1.5315 4.8581 12.8227
-0.6276 6.6496 18.8563
4.9587 6.1718 1.8667
0.6167 6.5468 7.8203
5.4065 1.2718 16.6414
0.7478 3.4079 10.5116
2.7727 2.3801 0.3291
-1.6472 4.9750 7.6768
5.9341 2.7194 20.4117
-0.4711 3.4477 21.5799
7.1609 0.1776 1.8363
-1.5469 5.2974 16.7436
-3.4601 6.4488 9.0251
2.8967 2.3515 16.6200
3.7732 6.2867 12.9321
0.6611 1.4595 9.0206
5.5316 3.8021 3.1040
-0.6006 6.4870 12.8494
-0.6888 3.8068 5.6001
0.5673 1.6616 15.3440
1.1366 6.4713 10.5221
0.5531 6.5900 1.6739
5.8767 2.3936 5.2834
2.9003 7.4393 9.0388
-0.8592 6.4464 5.5450
2.9305 2.8103 2.9846
-3.3192 6.3169 15.4675
0.9828 3.9573 1.6776
3.8090 3.8857 5.2578
-2.7460 7.3510 4.3239
3.5473 1.2690 5.2615
7.4138 0.1619 17.8486
5.3816 1.2595 0.5986
6.0860 2.3293 11.7495
0.5210 3.7020 16.8758
1.8878 0.2803 6.8104
7.6915 1.2102 6.5979
1.7515 5.3305 21.5910
3.3630 1.1699 11.5460
-1.4824 4.8398 1.6551
-0.9941 6.2148 21.4739
1.5907 4.8687 19.0841
-1.6535 5.3386 10.3854
3.4594 3.7989 14.0817
5.1462 4.0113 16.6115
2.7900 2.7768 9.1215
-1.0790 3.8674 18.9786
-0.6450 1.7298 4.0078
1.4512 5.2409 5.6642
3.8433 1.1236 20.3845
-2.8938 7.4260 20.1678
6.2598 2.7201 14.3053
4.9347 1.0704 9.1771
1.2341 2.8835 9.1431
-3.0985 5.4477 16.7150
7.0027 2.5448 12.9595
5.5971 0.3311 1.8135
2.6571 0.0355 5.4858
2.5470 5.1342 20.2667
0.0333 5.1130 18.0488
0.0009 5.0644 6.8553
4.4717 2.4454 21.6139
-0.0693 5.0576 0.4185
0.0317 0.0450 18.9172
4.4269 2.6289 4.0246
4.4490 7.5501 11.0276
-1.1219 2.5626 1.8389
0.0152 5.0513 3.6464
3.3015 -0.0223 16.7081
0.0717 -0.0215 22.0335
4.4577 2.4570 18.5082
3.2868 5.1386 9.2294
0.1346 5.1197 14.8192
5.6947 -0.0054 5.5107
1.6748 2.2420 20.3195
5.5988 5.0637 20.2526
1.2606 2.5482 12.9524
4.4577 2.5415 7.2353
-1.5761 2.7573 16.6686
5.9955 4.8911 5.5794
1.5986 7.3654 12.9516
2.7658 5.4008 1.7763
2.7948 0.1970 9.2377
0.0335 0.0153 3.1831
-0.0181 5.1170 11.4708
8.8157 -0.0184 7.6929
4.4114 2.5365 15.2678
4.4137 7.6084 14.3552
4.4700 2.5500 10.5231
3.0722 5.3288 5.4464
-1.2197 7.2737 20.2457
1.9335 2.5703 1.7199
1.2827 7.3003 9.1193
5.7153 4.7186 1.7531
1.2694 2.2522 16.7087
-1.3072 2.3055 5.3827
1.8910 7.5470 16.6580
3.1338 0.2828 12.9156
-2.5258 5.0830 9.0485
-1.2655 2.8503 20.2595
3.1837 4.7783 12.8209